(1)
Computed, not measured: a geometry-optimized Y6WO12 structure at the PBE with a Hubbard U level of DFT. Values from VASP.

Summary:
Volume, Å³/cell: 265
DFT formation energy, eV per atom: -3.669
Crystal system: trigonal

```
&SYSTEM
  ibrav = 0, nat = 19, ntyp = 3
/
ATOMIC_SPECIES
O 16.00 O.upf
W 183.84 W.upf
Y 88.91 Y.upf
ATOMIC_POSITIONS crystal
O 0.1771 0.4313 0.5915
O 0.9657 0.2959 0.0772
O 0.5687 0.4085 0.8229
O 0.9228 0.0343 0.7041
O 0.5915 0.1771 0.4313
O 0.0343 0.7041 0.9228
O 0.4085 0.8229 0.5687
O 0.8229 0.5687 0.4085
O 0.7041 0.9228 0.0343
O 0.4313 0.5915 0.1771
O 0.2959 0.0772 0.9657
O 0.0772 0.9657 0.2959
W 0.0000 0.0000 0.0000
Y 0.8561 0.3895 0.6840
Y 0.1439 0.6105 0.3160
Y 0.3160 0.1439 0.6105
Y 0.6105 0.3160 0.1439
Y 0.3895 0.6840 0.8561
Y 0.6840 0.8561 0.3895
CELL_PARAMETERS angstrom
4.2412 -4.9385 0.0000
4.2412 4.9385 0.0000
-1.5091 0.0000 6.3324
```



(2)
Computed, not measured: a geometry-optimized Y2W2O9 structure at the PBE with a Hubbard U level of DFT. Values from VASP.

Summary:
Polymorph energy (0 for the lowest one), meV per atom: 43
Volume, Å³/cell: 335
DFT formation energy, eV per atom: -2.880
Crystal system: triclinic

```
&SYSTEM
  ibrav = 0, nat = 26, ntyp = 3
/
ATOMIC_SPECIES
O 16.00 O.upf
Y 88.91 Y.upf
W 183.84 W.upf
ATOMIC_POSITIONS crystal
O 0.3669 0.3582 0.6185
O 0.1821 0.5704 0.9088
O 0.0388 0.2612 0.8597
O 0.6854 0.9118 0.5431
O 0.2606 0.9371 0.1571
O 0.7394 0.0629 0.8429
O 0.5039 0.7645 0.9066
O 0.4961 0.2355 0.0934
O 0.8521 0.0698 0.2172
O 0.3288 0.5030 0.2474
O 0.9569 0.3047 0.4674
O 0.6331 0.6418 0.3815
O 0.8179 0.4296 0.0912
O 0.0431 0.6953 0.5326
O 0.6712 0.4970 0.7526
O 0.9612 0.7388 0.1403
O 0.3146 0.0882 0.4569
O 0.1479 0.9302 0.7828
Y 0.6155 0.2869 0.3750
Y 0.1532 0.2604 0.1535
Y 0.3845 0.7131 0.6250
Y 0.8468 0.7396 0.8465
W 0.1592 0.2071 0.6318
W 0.8408 0.7929 0.3682
W 0.2675 0.7362 0.0543
W 0.7325 0.2638 0.9457
CELL_PARAMETERS angstrom
6.7351 0.0000 0.0000
0.9164 7.0698 0.0000
0.7350 2.3853 7.0356
```



(3)
Computed, not measured: a geometry-optimized Y2WO6 structure at the PBE with a Hubbard U level of DFT. Values from VASP.

Summary:
Polymorph energy (0 for the lowest one), meV per atom: 121
Volume, Å³/cell: 240
DFT formation energy, eV per atom: -3.167
Crystal system: orthorhombic

```
&SYSTEM
  ibrav = 0, nat = 18, ntyp = 3
/
ATOMIC_SPECIES
Y 88.91 Y.upf
O 16.00 O.upf
W 183.84 W.upf
ATOMIC_POSITIONS crystal
Y 0.5000 0.0000 0.9954
Y 0.0000 0.0000 0.3268
Y 0.0000 0.5000 0.0046
Y 0.5000 0.5000 0.6732
O 0.7338 0.7447 0.1698
O 0.2338 0.7553 0.8302
O 0.7662 0.2447 0.8302
O 0.7677 0.0000 0.5541
O 0.2338 0.2447 0.8302
O 0.2677 0.5000 0.4459
O 0.2662 0.7447 0.1698
O 0.7323 0.5000 0.4459
O 0.2323 0.0000 0.5541
O 0.7662 0.7553 0.8302
O 0.7338 0.2553 0.1698
O 0.2662 0.2553 0.1698
W 0.0000 0.0000 0.7243
W 0.5000 0.5000 0.2757
CELL_PARAMETERS angstrom
5.3808 0.0000 0.0000
0.0000 5.4359 0.0000
0.0000 0.0000 8.2151
```



(4)
Computed, not measured: a geometry-optimized Y2W2O9 structure at the PBE with a Hubbard U level of DFT. Values from VASP.

Summary:
Polymorph energy (0 for the lowest one), meV per atom: 41
Volume, Å³/cell: 667
DFT formation energy, eV per atom: -2.882
Crystal system: orthorhombic

```
&SYSTEM
  ibrav = 0, nat = 52, ntyp = 3
/
ATOMIC_SPECIES
Y 88.91 Y.upf
O 16.00 O.upf
W 183.84 W.upf
ATOMIC_POSITIONS crystal
Y 0.2287 0.7713 0.7500
Y 0.7724 0.2276 0.7500
Y 0.8802 0.5910 0.9977
Y 0.5910 0.8802 0.0023
Y 0.7713 0.2287 0.2500
Y 0.1198 0.4090 0.4977
Y 0.4090 0.1198 0.5023
Y 0.2276 0.7724 0.2500
O 0.7766 0.7766 0.5000
O 0.0309 0.3314 0.2014
O 0.4763 0.3033 0.8129
O 0.6686 0.9691 0.2986
O 0.3282 0.0289 0.2063
O 0.0289 0.3282 0.7937
O 0.6967 0.5237 0.6871
O 0.0030 0.9970 0.2500
O 0.4745 0.3027 0.1926
O 0.3033 0.4763 0.1871
O 0.3027 0.4745 0.8074
O 0.8878 0.4231 0.4955
O 0.6304 0.2090 0.5018
O 0.9711 0.6718 0.2937
O 0.5237 0.6967 0.3129
O 0.4416 0.4416 0.5000
O 0.9115 0.1527 0.4944
O 0.1527 0.9115 0.5056
O 0.9970 0.0030 0.7500
O 0.9691 0.6686 0.7014
O 0.3314 0.0309 0.7986
O 0.2090 0.6304 0.4982
O 0.5255 0.6973 0.6926
O 0.7910 0.3696 0.9982
O 0.6973 0.5255 0.3074
O 0.2018 0.2018 0.5000
O 0.8473 0.0885 0.0056
O 0.5769 0.1122 0.0045
O 0.2234 0.2234 0.0000
O 0.0885 0.8473 0.9944
O 0.5584 0.5584 0.0000
O 0.3696 0.7910 0.0018
O 0.7982 0.7982 0.0000
O 0.4231 0.8878 0.5045
O 0.6718 0.9711 0.7063
O 0.1122 0.5769 0.9955
W 0.8528 0.6071 0.4966
W 0.9531 0.9531 0.0000
W 0.3929 0.1472 0.0034
W 0.0469 0.0469 0.5000
W 0.6071 0.8528 0.5034
W 0.4991 0.5009 0.2500
W 0.1472 0.3929 0.9966
W 0.5009 0.4991 0.7500
CELL_PARAMETERS angstrom
-9.3551 1.8897 -2.2492
0.1497 -1.8507 9.6281
1.0953 7.0045 1.3294
```



(5)
Computed, not measured: a geometry-optimized Y2W2O9 structure at the PBE with a Hubbard U level of DFT. Values from VASP.

Summary:
Polymorph energy (0 for the lowest one), meV per atom: 0
Volume, Å³/cell: 657
DFT formation energy, eV per atom: -2.923
Crystal system: monoclinic

```
&SYSTEM
  ibrav = 0, nat = 52, ntyp = 3
/
ATOMIC_SPECIES
O 16.00 O.upf
W 183.84 W.upf
Y 88.91 Y.upf
ATOMIC_POSITIONS crystal
O 0.6176 0.7749 0.9186
O 0.7975 0.4019 0.4344
O 0.9107 0.0636 0.1496
O 0.9069 0.4983 0.6841
O 0.1176 0.2251 0.5814
O 0.6794 0.7447 0.6373
O 0.4069 0.5017 0.8159
O 0.0893 0.9364 0.8504
O 0.0931 0.5017 0.3159
O 0.2839 0.8917 0.6656
O 0.8654 0.7314 0.8605
O 0.8979 0.4419 0.1097
O 0.3863 0.9945 0.9081
O 0.2975 0.5981 0.0656
O 0.6021 0.4419 0.6097
O 0.7025 0.4019 0.9344
O 0.8863 0.0055 0.5919
O 0.5931 0.4983 0.1841
O 0.5893 0.0636 0.6496
O 0.3979 0.5581 0.3903
O 0.1021 0.5581 0.8903
O 0.7839 0.1083 0.8344
O 0.2161 0.8917 0.1656
O 0.3824 0.2251 0.0814
O 0.8824 0.7749 0.4186
O 0.1794 0.2553 0.8627
O 0.6137 0.0055 0.0919
O 0.3654 0.2686 0.6395
O 0.1137 0.9945 0.4081
O 0.7161 0.1083 0.3344
O 0.3206 0.2553 0.3627
O 0.6346 0.7314 0.3605
O 0.2025 0.5981 0.5656
O 0.8206 0.7447 0.1373
O 0.1346 0.2686 0.1395
O 0.4107 0.9364 0.3504
W 0.2492 0.0683 0.7644
W 0.7734 0.5751 0.5364
W 0.7508 0.9317 0.2356
W 0.2266 0.4249 0.4636
W 0.2734 0.4249 0.9636
W 0.7492 0.9317 0.7356
W 0.7266 0.5751 0.0364
W 0.2508 0.0683 0.2644
Y 0.4428 0.7737 0.1552
Y 0.0572 0.7737 0.6552
Y 0.5505 0.2926 0.4294
Y 0.9495 0.2926 0.9294
Y 0.4495 0.7074 0.5706
Y 0.5572 0.2263 0.8448
Y 0.0505 0.7074 0.0706
Y 0.9428 0.2263 0.3448
CELL_PARAMETERS angstrom
9.7494 0.0000 0.0000
0.0000 7.6907 0.0000
0.0000 2.9213 8.7655
```



Which of these has the lowest volume?
Y2WO6



Copy entry 3 word for word.
Computed, not measured: a geometry-optimized Y2WO6 structure at the PBE with a Hubbard U level of DFT. Values from VASP.

Summary:
Polymorph energy (0 for the lowest one), meV per atom: 121
Volume, Å³/cell: 240
DFT formation energy, eV per atom: -3.167
Crystal system: orthorhombic

```
&SYSTEM
  ibrav = 0, nat = 18, ntyp = 3
/
ATOMIC_SPECIES
Y 88.91 Y.upf
O 16.00 O.upf
W 183.84 W.upf
ATOMIC_POSITIONS crystal
Y 0.5000 0.0000 0.9954
Y 0.0000 0.0000 0.3268
Y 0.0000 0.5000 0.0046
Y 0.5000 0.5000 0.6732
O 0.7338 0.7447 0.1698
O 0.2338 0.7553 0.8302
O 0.7662 0.2447 0.8302
O 0.7677 0.0000 0.5541
O 0.2338 0.2447 0.8302
O 0.2677 0.5000 0.4459
O 0.2662 0.7447 0.1698
O 0.7323 0.5000 0.4459
O 0.2323 0.0000 0.5541
O 0.7662 0.7553 0.8302
O 0.7338 0.2553 0.1698
O 0.2662 0.2553 0.1698
W 0.0000 0.0000 0.7243
W 0.5000 0.5000 0.2757
CELL_PARAMETERS angstrom
5.3808 0.0000 0.0000
0.0000 5.4359 0.0000
0.0000 0.0000 8.2151
```



Among the records above, which one has the lowest volume?
Y2WO6